Model A:
Material: P2S3
Method: DFT, r²SCAN
State: optimized geometry

Unit cell a=10.0485 b=4.5512 c=11.5854 alpha=67.37 beta=90.00 gamma=90.00
With the nearest neighbours (Å) after each atom.
Sites, in units of the cell vectors:
S  0.8765  0.2273  0.8460  2 P 2.12-2.14
S  0.7850  0.0209  0.6222  2 P 2.14
S  0.3765  0.7727  0.6540  2 P 2.12-2.14
S  0.3628  0.3288  0.0974  2 P 2.11-2.14
P  0.3140  0.5903  0.5199  3 S 2.12-2.14
S  0.6372  0.6712  0.9026  2 P 2.11-2.14
P  0.3035  0.8800  0.2290  3 S 2.11-2.14
P  0.1860  0.5903  0.0199  3 S 2.12-2.14
P  0.8035  0.1200  0.2710  3 S 2.11-2.14
S  0.2150  0.9791  0.3778  2 P 2.14
S  0.6235  0.2273  0.3460  2 P 2.12-2.14
S  0.2850  0.9791  0.8778  2 P 2.14
P  0.6965  0.1200  0.7710  3 S 2.11-2.14
P  0.8140  0.4097  0.9801  3 S 2.12-2.14
S  0.7150  0.0209  0.1222  2 P 2.14
P  0.6860  0.4097  0.4801  3 S 2.12-2.14
S  0.8628  0.6712  0.4026  2 P 2.11-2.14
P  0.1965  0.8800  0.7290  3 S 2.11-2.14
S  0.1372  0.3288  0.5974  2 P 2.11-2.14
S  0.1235  0.7727  0.1540  2 P 2.12-2.14

Properties
The symmetry is P2_1/c, No. 14. Its total magnetic moment is 0.00 μB per formula unit.

Model B:
Material: P2S3
Method: DFT, r²SCAN
State: optimized geometry

Unit cell a=7.1636 b=11.8306 c=12.4680 alpha=90.00 beta=90.00 gamma=102.96
With the nearest neighbours (Å) after each atom.
Sites, in units of the cell vectors:
S  0.6544  0.2978  0.5779  2 P 2.10-2.11
S  0.9750  0.9019  0.6199  2 P 2.10-2.12
S  0.6069  0.6726  0.1531  2 P 2.11
S  0.9830  0.6170  0.6063  2 P 2.09-2.15
S  0.6069  0.1726  0.3469  2 P 2.11
S  0.0250  0.5981  0.1199  2 P 2.10-2.12
P  0.2793  0.6640  0.5843  4 S 1.92-2.11
S  0.9308  0.2820  0.1116  2 P 2.10-2.11
P  0.2291  0.8490  0.3963  2 S 2.11, 1 P 2.32
P  0.7207  0.8360  0.0843  4 S 1.92-2.11
S  0.0170  0.3830  0.3937  2 P 2.09-2.15
P  0.1618  0.7546  0.0468  3 S 2.10-2.15
S  0.0170  0.8830  0.1063  2 P 2.09-2.15
S  0.9830  0.1170  0.8937  2 P 2.09-2.15
S  0.3931  0.8274  0.6531  2 P 2.11
S  0.0692  0.2180  0.6116  2 P 2.10-2.11
P  0.2291  0.3490  0.1037  2 S 2.11, 1 P 2.32
P  0.7709  0.1510  0.6037  2 S 2.11, 1 P 2.32
S  0.3850  0.5421  0.6428  1 P 1.92
S  0.0692  0.7180  0.8884  2 P 2.10-2.11
P  0.2616  0.4388  0.9371  2 S 2.11-2.12, 1 P 2.32
P  0.7709  0.6510  0.8963  2 S 2.11, 1 P 2.32
P  0.7207  0.3360  0.4157  4 S 1.92-2.11
P  0.2616  0.9388  0.5629  2 S 2.11-2.12, 1 P 2.32
S  0.6150  0.9579  0.1428  1 P 1.92
S  0.9750  0.4019  0.8801  2 P 2.10-2.12
P  0.2793  0.1640  0.9157  4 S 1.92-2.11
S  0.3456  0.7022  0.4221  2 P 2.10-2.11
S  0.3456  0.2022  0.0779  2 P 2.10-2.11
S  0.3931  0.3274  0.8469  2 P 2.11
P  0.7384  0.5612  0.0629  2 S 2.11-2.12, 1 P 2.32
S  0.6544  0.7978  0.9221  2 P 2.10-2.11
S  0.3850  0.0421  0.8572  1 P 1.92
P  0.8382  0.7454  0.5468  3 S 2.10-2.15
P  0.7384  0.0612  0.4371  2 S 2.11-2.12, 1 P 2.32
S  0.6150  0.4579  0.3572  1 P 1.92
S  0.9308  0.7820  0.3884  2 P 2.10-2.11
S  0.0250  0.0981  0.3801  2 P 2.10-2.12
P  0.1618  0.2546  0.4532  3 S 2.10-2.15
P  0.8382  0.2454  0.9532  3 S 2.10-2.15

Properties
The symmetry is P2_1/c, No. 14. Its total magnetic moment is 0.00 μB per formula unit.

Ordering by calculated energy gives the sequence model B, model A, with the first entry being the most stable.

Model A:
Material: P4S5
Method: DFT, r²SCAN
State: optimized geometry

Unit cell a=6.4921 b=6.7360 c=11.4340 alpha=90.00 beta=90.00 gamma=115.76
With the nearest neighbours (Å) after each atom.
Sites, in units of the cell vectors:
P  0.8645  0.7714  0.2500  3 S 2.11-2.13
S  0.7753  0.4791  0.8889  2 P 2.11
S  0.2362  0.0829  0.6112  2 P 2.11
P  0.2858  0.3471  0.2500  3 S 2.11-2.13
S  0.6409  0.4283  0.2500  2 P 2.13
P  0.5770  0.1430  0.8511  2 S 2.11, 1 P 2.31
S  0.2362  0.0829  0.8888  2 P 2.11
P  0.4230  0.8570  0.1489  2 S 2.11, 1 P 2.31
P  0.4230  0.8570  0.3511  2 S 2.11, 1 P 2.31
P  0.7142  0.6529  0.7500  3 S 2.11-2.13
S  0.2247  0.5209  0.1111  2 P 2.11
S  0.7638  0.9171  0.1112  2 P 2.11
S  0.7638  0.9171  0.3888  2 P 2.11
S  0.2247  0.5209  0.3889  2 P 2.11
P  0.5770  0.1430  0.6489  2 S 2.11, 1 P 2.31
S  0.7753  0.4791  0.6111  2 P 2.11
P  0.1355  0.2286  0.7500  3 S 2.11-2.13
S  0.3591  0.5717  0.7500  2 P 2.13

Properties
The symmetry is P2_1/m, No. 11. Its total magnetic moment is 0.00 μB per formula unit.

Model B:
Material: P4S5
Method: DFT, r²SCAN
State: optimized geometry

Unit cell a=6.5535 b=6.9014 c=11.1622 alpha=90.00 beta=90.00 gamma=111.72
With the nearest neighbours (Å) after each atom.
Sites, in units of the cell vectors:
S  0.3712  0.9111  0.9329  2 P 2.11-2.12
S  0.7467  0.7928  0.7947  2 P 2.06-2.14
S  0.0446  0.3913  0.8911  2 P 2.09-2.17
P  0.5209  0.9460  0.7625  3 S 2.11-2.14
S  0.2869  0.7168  0.6551  2 P 2.10-2.12
S  0.8422  0.7882  0.1256  1 P 1.93
P  0.2497  0.4355  0.7416  3 S 1.93-2.10
S  0.6288  0.0889  0.4329  2 P 2.11-2.12
P  0.4614  0.4861  0.3655  1 S 2.06, 2 P 2.24-2.27
P  0.4791  0.0540  0.2625  3 S 2.11-2.14
P  0.5386  0.5139  0.8655  1 S 2.06, 2 P 2.24-2.27
P  0.7503  0.5645  0.2416  3 S 1.93-2.10
S  0.2533  0.2072  0.2947  2 P 2.06-2.14
P  0.3183  0.6040  0.9920  2 S 2.12-2.17, 1 P 2.27
S  0.7131  0.2832  0.1551  2 P 2.10-2.12
S  0.9554  0.6087  0.3911  2 P 2.09-2.17
P  0.6817  0.3960  0.4920  2 S 2.12-2.17, 1 P 2.27
S  0.1578  0.2118  0.6256  1 P 1.93

Properties
The symmetry is P2_1, No. 4. Its total magnetic moment is 0.00 μB per formula unit.

Ordering by calculated energy gives the sequence model B, model A, with the first entry being the most stable.

Model A:
Material: Sc3P2
Method: DFT, r²SCAN
State: optimized geometry

Unit cell a=3.7775 b=6.9595 c=14.4428 alpha=90.00 beta=90.00 gamma=90.00
With the nearest neighbours (Å) after each atom.
Sites, in units of the cell vectors:
P  0.7500  0.2447  0.4580  7 Sc 2.61-2.75
Sc  0.2500  0.1625  0.7768  5 P 2.60-2.77
Sc  0.2500  0.3645  0.5685  5 P 2.61-2.75
Sc  0.7500  0.4915  0.8970  4 P 2.65-2.88
P  0.7500  0.8727  0.7940  7 Sc 2.60-2.88
Sc  0.7500  0.3375  0.2768  5 P 2.60-2.77
Sc  0.7500  0.9915  0.6030  4 P 2.65-2.88
P  0.2500  0.7553  0.5420  7 Sc 2.61-2.75
Sc  0.7500  0.1355  0.0685  5 P 2.61-2.75
Sc  0.7500  0.6355  0.4315  5 P 2.61-2.75
Sc  0.2500  0.5085  0.1031  4 P 2.65-2.88
P  0.2500  0.6273  0.2940  7 Sc 2.60-2.88
P  0.2500  0.1273  0.2060  7 Sc 2.60-2.88
Sc  0.2500  0.8645  0.9315  5 P 2.61-2.75
Sc  0.7500  0.8375  0.2232  5 P 2.60-2.77
Sc  0.2500  0.6625  0.7232  5 P 2.60-2.77
P  0.7500  0.3727  0.7060  7 Sc 2.60-2.88
P  0.7500  0.7447  0.0420  7 Sc 2.61-2.75
P  0.2500  0.2553  0.9580  7 Sc 2.61-2.75
Sc  0.2500  0.0085  0.3969  4 P 2.65-2.88

Properties
The symmetry is Pnma, No. 62. Its total magnetic moment is 0.00 μB per formula unit.

Model B:
Material: Sc3P2
Method: DFT, r²SCAN
State: optimized geometry

Unit cell a=3.7289 b=10.1765 c=10.0761 alpha=90.00 beta=90.00 gamma=90.00
With the nearest neighbours (Å) after each atom.
Sites, in units of the cell vectors:
Sc  0.7500  0.7759  0.1997  4 P 2.69-2.75
Sc  0.7500  0.9533  0.8668  5 P 2.68-2.71
P  0.7500  0.6862  0.5026  7 Sc 2.71-2.75
P  0.2500  0.4883  0.8205  7 Sc 2.61-2.70
Sc  0.2500  0.5467  0.3668  5 P 2.68-2.71
P  0.2500  0.3138  0.4974  7 Sc 2.71-2.75
P  0.2500  0.9884  0.6795  7 Sc 2.61-2.70
P  0.7500  0.5116  0.1795  7 Sc 2.61-2.70
Sc  0.7500  0.4532  0.6332  5 P 2.68-2.71
Sc  0.2500  0.0468  0.1332  5 P 2.68-2.71
Sc  0.2500  0.8741  0.4376  5 P 2.61-2.75
Sc  0.7500  0.6259  0.9376  5 P 2.61-2.75
Sc  0.7500  0.1260  0.5624  5 P 2.61-2.75
Sc  0.2500  0.2241  0.8003  4 P 2.69-2.75
P  0.2500  0.8138  0.0026  7 Sc 2.71-2.75
Sc  0.7500  0.2759  0.3003  4 P 2.69-2.75
P  0.7500  0.1863  0.9974  7 Sc 2.71-2.75
Sc  0.2500  0.7241  0.6997  4 P 2.69-2.75
P  0.7500  0.0117  0.3205  7 Sc 2.61-2.70
Sc  0.2500  0.3741  0.0624  5 P 2.61-2.75

Properties
The symmetry is Pnma, No. 62. Its total magnetic moment is 0.89 μB per formula unit.

Ordering by calculated energy gives the sequence model A, model B, with the first entry being the most stable.